# 1
The following is a DFT calculation (PBE-GGA) of an optimized crystal structure of KSn4P3O12.

Computed properties:
- Energy of formation: -2.365 eV/atom
- Size of the total moment: 0.00 μB per formula unit
- E (MP2020): -7.00 eV/atom

Structure (CIF):
```
data_KSn4P3O12
_chemical_formula_sum 'K6 Sn24 P18 O72'
_cell_length_a 10.0684
_cell_length_b 10.0684
_cell_length_c 25.2355
_cell_angle_alpha 90.00
_cell_angle_beta 90.00
_cell_angle_gamma 120.00
_symmetry_space_group_name_H-M 'R 3 c'
_symmetry_Int_Tables_number 161
_symmetry_space_group_name_Hall 'R 3 -2"c'
loop_
_atom_site_label
_atom_site_fract_x
_atom_site_fract_y
_atom_site_fract_z
K1 0.0000 0.0000 0.0000
Sn1 0.0000 0.0000 0.3521
Sn2 0.0715 0.4892 0.3803
P1 0.1349 0.3383 0.5847
O1 0.0066 0.1743 0.9029
O2 0.0436 0.4511 0.7094
O3 0.1152 0.4100 0.2539
O4 0.1411 0.3469 0.1404
```


# 2
The following is a DFT calculation (PBE-GGA) of an optimized crystal structure of Ba3SrNb2O9.

Computed properties:
- Energy of formation: -3.243 eV/atom
- Size of the total moment: 0.00 μB per formula unit
- E (MP2020): -8.05 eV/atom

Structure (CIF):
```
data_Ba3SrNb2O9
_chemical_formula_sum 'Ba3 Sr1 Nb2 O9'
_cell_length_a 6.0494
_cell_length_b 6.0494
_cell_length_c 7.6993
_cell_angle_alpha 90.00
_cell_angle_beta 90.00
_cell_angle_gamma 120.00
_symmetry_space_group_name_H-M 'P -3 m 1'
_symmetry_Int_Tables_number 164
_symmetry_space_group_name_Hall '-P 3 2"'
loop_
_atom_site_label
_atom_site_fract_x
_atom_site_fract_y
_atom_site_fract_z
Ba1 0.0000 0.0000 0.0000
Ba2 0.3333 0.6667 0.7002
Sr1 0.0000 0.0000 0.5000
Nb1 0.3333 0.6667 0.1684
O1 0.0000 0.5000 0.0000
O2 0.1772 0.3543 0.3007
```


Q: Which value of energy of formation does entry 1 give?
A: -2.365 eV/atom


Q: E (MP2020) of number 1 (KSn4P3O12)?
A: -7.00 eV/atom


Q: Look up the E (MP2020) of the second one.
A: -8.05 eV/atom


Q: The lowest E (MP2020) belongs to which entry?
A: Ba3SrNb2O9